No. 1
Material: Dy11In6Si4
Method: DFT, meta-GGA r2SCAN
State: relaxed

The structure in POSCAR format:
```
Dy11In6Si4
1.0
-5.7193 5.7193 8.0852
5.7193 -5.7193 8.0852
5.7193 5.7193 -8.0852
Dy In Si
22 12 8
direct
0.0631 0.3135 0.7497 Dy
0.1004 0.4474 0.3470 Dy
0.1004 0.7534 0.6530 Dy
0.1681 0.1681 0.0000 Dy
0.2466 0.8996 0.3470 Dy
0.3135 0.0631 0.7497 Dy
0.3135 0.5638 0.2503 Dy
0.3323 0.3323 0.6646 Dy
0.3323 0.6677 0.0000 Dy
0.4362 0.6865 0.7497 Dy
0.4474 0.1004 0.3470 Dy
0.5526 0.8996 0.6530 Dy
0.5638 0.3135 0.2503 Dy
0.6677 0.3323 0.0000 Dy
0.6677 0.6677 0.3354 Dy
0.6865 0.4362 0.7497 Dy
0.6865 0.9369 0.2503 Dy
0.7534 0.1004 0.6530 Dy
0.8319 0.8319 0.0000 Dy
0.8996 0.2466 0.3470 Dy
0.8996 0.5526 0.6530 Dy
0.9369 0.6865 0.2503 Dy
0.0356 0.0356 0.4123 In
0.0356 0.6233 0.0000 In
0.1284 0.1284 0.2567 In
0.1284 0.8716 0.0000 In
0.3767 0.3767 0.4123 In
0.3767 0.9644 0.0000 In
0.6233 0.0356 0.0000 In
0.6233 0.6233 0.5877 In
0.8716 0.1284 0.0000 In
0.8716 0.8716 0.7433 In
0.9644 0.3767 0.0000 In
0.9644 0.9644 0.5877 In
0.1536 0.5000 0.6536 Si
0.2500 0.7500 0.5000 Si
0.3779 0.3779 0.0000 Si
0.5000 0.1536 0.6536 Si
0.5000 0.8464 0.3464 Si
0.6221 0.6221 0.0000 Si
0.7500 0.2500 0.5000 Si
0.8464 0.5000 0.3464 Si
```

Output
- Total magnetization: 0.000 μB/atom
- Raw total energy: -25.61 eV/atom
- Symmetry: I4/mmm, No. 139
- E_form: -733 meV per atom

***

No. 2
Material: TbPPd
Method: DFT, meta-GGA r2SCAN
State: relaxed

The structure in POSCAR format:
```
TbPPd
1.0
6.9664 0.0000 0.0000
0.0000 4.0244 0.0000
0.0000 0.0000 7.7285
Tb P Pd
4 4 4
direct
0.0291 0.2500 0.1898 Tb
0.4709 0.7500 0.6898 Tb
0.5291 0.2500 0.3102 Tb
0.9709 0.7500 0.8102 Tb
0.2487 0.7500 0.3793 P
0.2513 0.2500 0.8793 P
0.7487 0.7500 0.1207 P
0.7513 0.2500 0.6207 P
0.1512 0.2500 0.5619 Pd
0.3488 0.7500 0.0619 Pd
0.6512 0.2500 0.9381 Pd
0.8488 0.7500 0.4381 Pd
```

Output
- Total magnetization: 0.000 μB/atom
- Raw total energy: -22.44 eV/atom
- Symmetry: Pnma, No. 62
- E_form: -1377 meV per atom

***

No. 3
Material: TcBr3
Method: DFT, meta-GGA r2SCAN
State: relaxed

The structure in POSCAR format:
```
TcBr3
1.0
11.6567 0.0000 0.0000
0.0000 6.7426 0.0000
0.0000 0.0000 5.9483
Tc Br
4 12
direct
0.0000 0.2452 0.0000 Tc
0.0000 0.2447 0.4410 Tc
0.5000 0.7548 0.5000 Tc
0.5000 0.7553 0.9410 Tc
0.0000 0.5353 0.7134 Br
0.0000 0.9268 0.2253 Br
0.1453 0.0999 0.7239 Br
0.1599 0.4031 0.2182 Br
0.3401 0.5969 0.7182 Br
0.3547 0.9001 0.2239 Br
0.5000 0.0732 0.7253 Br
0.5000 0.4647 0.2134 Br
0.6453 0.9001 0.2239 Br
0.6599 0.5969 0.7182 Br
0.8401 0.4031 0.2182 Br
0.8547 0.0999 0.7239 Br
```

Output
- Total magnetization: 0.250 μB/atom
- Raw total energy: -16.95 eV/atom
- Symmetry: Pmn2_1, No. 31
- E_form: -519 meV per atom
- Energy above the most stable polymorph in this dataset: 0 meV/atom

***

No. 4
Material: TiAl3
Method: DFT, meta-GGA r2SCAN
State: relaxed

The structure in POSCAR format:
```
TiAl3
1.0
-1.9111 1.9111 4.2807
1.9111 -1.9111 4.2807
1.9111 1.9111 -4.2807
Ti Al
1 3
direct
0.0000 0.0000 0.0000 Ti
0.2500 0.7500 0.5000 Al
0.5000 0.5000 0.0000 Al
0.7500 0.2500 0.5000 Al
```

Output
- Total magnetization: 0.000 μB/atom
- Raw total energy: -8.72 eV/atom
- Symmetry: I4/mmm, No. 139
- E_form: -434 meV per atom

***

No. 5
Material: RbFeSe2
Method: DFT, meta-GGA r2SCAN
State: relaxed

The structure in POSCAR format:
```
RbFeSe2
1.0
3.7531 -5.9552 0.0000
3.7531 5.9552 0.0000
-2.0723 0.0000 5.2172
Rb Fe Se
2 2 4
direct
0.1391 0.8609 0.7500 Rb
0.8609 0.1391 0.2500 Rb
0.4974 0.5026 0.2500 Fe
0.5026 0.4974 0.7500 Fe
0.1980 0.4188 0.9023 Se
0.4188 0.1980 0.4023 Se
0.5812 0.8020 0.5977 Se
0.8020 0.5812 0.0977 Se
```

Output
- Total magnetization: 0.750 μB/atom
- Raw total energy: -15.05 eV/atom
- Symmetry: C2/c, No. 15
- E_form: -811 meV per atom

***

No. 6
Material: Yb2Ge3Pd
Method: DFT, meta-GGA r2SCAN
State: relaxed

The structure in POSCAR format:
```
Yb2Ge3Pd
1.0
3.8733 0.0000 0.0000
0.0000 4.3974 0.0000
0.0000 0.0000 6.9985
Yb Ge Pd
2 3 1
direct
0.0000 0.0000 0.0000 Yb
0.0000 0.5000 0.4999 Yb
0.5000 0.0000 0.3278 Ge
0.5000 0.0000 0.6738 Ge
0.5000 0.5000 0.1677 Ge
0.5000 0.5000 0.8236 Pd
```

Output
- Total magnetization: 0.000 μB/atom
- Raw total energy: -23.72 eV/atom
- Symmetry: Pmm2, No. 25
- E_form: -782 meV per atom

***

No. 7
Material: Lu5Bi3
Method: DFT, meta-GGA r2SCAN
State: relaxed

The structure in POSCAR format:
```
Lu5Bi3
1.0
8.0605 0.0000 0.0000
0.0000 9.2847 0.0000
0.0000 0.0000 11.7286
Lu Bi
20 12
direct
0.0222 0.2500 0.0109 Lu
0.1442 0.7500 0.2831 Lu
0.1862 0.2500 0.2849 Lu
0.1921 0.0676 0.5597 Lu
0.1921 0.4324 0.5597 Lu
0.3079 0.5676 0.0597 Lu
0.3079 0.9324 0.0597 Lu
0.3138 0.7500 0.7849 Lu
0.3558 0.2500 0.7831 Lu
0.4778 0.7500 0.5109 Lu
0.5222 0.2500 0.4891 Lu
0.6442 0.7500 0.2169 Lu
0.6862 0.2500 0.2151 Lu
0.6921 0.0676 0.9403 Lu
0.6921 0.4324 0.9403 Lu
0.8079 0.5676 0.4403 Lu
0.8079 0.9324 0.4403 Lu
0.8138 0.7500 0.7151 Lu
0.8558 0.2500 0.7169 Lu
0.9778 0.7500 0.9891 Lu
0.0654 0.0037 0.8254 Bi
0.0654 0.4963 0.8254 Bi
0.0979 0.7500 0.5424 Bi
0.4021 0.2500 0.0424 Bi
0.4346 0.5037 0.3254 Bi
0.4346 0.9963 0.3254 Bi
0.5654 0.0037 0.6746 Bi
0.5654 0.4963 0.6746 Bi
0.5979 0.7500 0.9576 Bi
0.9021 0.2500 0.4576 Bi
0.9346 0.5037 0.1746 Bi
0.9346 0.9963 0.1746 Bi
```

Output
- Total magnetization: 0.000 μB/atom
- Raw total energy: -46.42 eV/atom
- Symmetry: Pnma, No. 62
- E_form: -684 meV per atom

***

No. 8
Material: Ti4FeS8
Method: DFT, meta-GGA r2SCAN
State: relaxed

The structure in POSCAR format:
```
Ti4FeS8
1.0
5.5532 -3.3998 0.0000
5.5532 3.3998 0.0000
-5.4917 0.0000 5.8524
Ti Fe S
4 1 8
direct
0.2384 0.7616 0.0000 Ti
0.2386 0.2386 0.4934 Ti
0.7614 0.7614 0.5066 Ti
0.7616 0.2384 0.0000 Ti
0.5000 0.5000 0.5000 Fe
0.0495 0.0495 0.8348 S
0.0584 0.5406 0.3349 S
0.4594 0.9416 0.6651 S
0.4652 0.4652 0.1774 S
0.5348 0.5348 0.8226 S
0.5406 0.0584 0.3349 S
0.9416 0.4594 0.6651 S
0.9505 0.9505 0.1652 S
```

Output
- Total magnetization: 0.000 μB/atom
- Raw total energy: -11.39 eV/atom
- Symmetry: C2/m, No. 12
- E_form: -1356 meV per atom

***

No. 9
Material: SrV4O10
Method: DFT, meta-GGA r2SCAN
State: relaxed

The structure in POSCAR format:
```
SrV4O10
1.0
6.1300 0.0000 0.0000
2.1965 7.0146 0.0000
0.3326 -0.0881 8.9464
Sr V O
2 8 20
direct
0.1808 0.2068 0.0178 Sr
0.8192 0.7932 0.9822 Sr
0.1228 0.9655 0.6600 V
0.1296 0.4709 0.6594 V
0.4609 0.3816 0.3385 V
0.4700 0.8863 0.3373 V
0.5300 0.1137 0.6627 V
0.5391 0.6184 0.6615 V
0.8704 0.5291 0.3406 V
0.8772 0.0345 0.3400 V
0.0786 0.4919 0.8434 O
0.0853 0.9654 0.8450 O
0.1605 0.9634 0.3983 O
0.1684 0.4550 0.4065 O
0.1983 0.1970 0.6431 O
0.2037 0.7019 0.6290 O
0.4351 0.3666 0.1595 O
0.4502 0.9145 0.1539 O
0.4690 0.8804 0.6048 O
0.4708 0.3842 0.6275 O
0.5292 0.6158 0.3725 O
0.5310 0.1196 0.3952 O
0.5498 0.0855 0.8461 O
0.5649 0.6334 0.8405 O
0.7963 0.2981 0.3710 O
0.8017 0.8030 0.3569 O
0.8316 0.5450 0.5935 O
0.8395 0.0366 0.6017 O
0.9147 0.0346 0.1550 O
0.9214 0.5081 0.1566 O
```

Output
- Total magnetization: 0.133 μB/atom
- Raw total energy: -11.48 eV/atom
- Symmetry: P-1, No. 2
- E_form: -2728 meV per atom
- Energy above the most stable polymorph in this dataset: 0 meV/atom

***

No. 10
Material: Er2MgGe2
Method: DFT, meta-GGA r2SCAN
State: relaxed

The structure in POSCAR format:
```
Er2MgGe2
1.0
7.1879 0.0000 0.0000
0.0000 7.1879 0.0000
0.0000 0.0000 4.1754
Er Mg Ge
4 2 4
direct
0.1774 0.3226 0.0000 Er
0.3226 0.8226 0.0000 Er
0.6774 0.1774 0.0000 Er
0.8226 0.6774 0.0000 Er
0.0000 0.0000 0.5000 Mg
0.5000 0.5000 0.5000 Mg
0.1235 0.6235 0.5000 Ge
0.3765 0.1235 0.5000 Ge
0.6235 0.8765 0.5000 Ge
0.8765 0.3765 0.5000 Ge
```

Output
- Total magnetization: 0.000 μB/atom
- Raw total energy: -20.81 eV/atom
- Symmetry: P4/mbm, No. 127
- E_form: -854 meV per atom

***

No. 11
Material: Si3Sb2O9
Method: DFT, meta-GGA r2SCAN
State: relaxed

The structure in POSCAR format:
```
Si3Sb2O9
1.0
6.8941 0.0000 0.0000
-3.4471 5.9705 0.0000
0.0000 0.0000 9.2669
Si Sb O
6 4 18
direct
0.0748 0.2797 0.2500 Si
0.2049 0.9252 0.2500 Si
0.2797 0.2049 0.7500 Si
0.7203 0.7951 0.2500 Si
0.7951 0.0748 0.7500 Si
0.9252 0.7203 0.7500 Si
0.3333 0.6667 0.5154 Sb
0.3333 0.6667 0.9846 Sb
0.6667 0.3333 0.0154 Sb
0.6667 0.3333 0.4846 Sb
0.0652 0.2458 0.7500 O
0.1000 0.4217 0.1056 O
0.1000 0.4217 0.3944 O
0.1806 0.9348 0.7500 O
0.2458 0.1806 0.2500 O
0.3217 0.9000 0.1056 O
0.3217 0.9000 0.3944 O
0.4217 0.3217 0.6056 O
0.4217 0.3217 0.8944 O
0.5783 0.6783 0.1056 O
0.5783 0.6783 0.3944 O
0.6783 0.1000 0.6056 O
0.6783 0.1000 0.8944 O
0.7542 0.8194 0.7500 O
0.8194 0.0652 0.2500 O
0.9000 0.5783 0.6056 O
0.9000 0.5783 0.8944 O
0.9348 0.7542 0.2500 O
```

Output
- Total magnetization: 0.000 μB/atom
- Raw total energy: -11.86 eV/atom
- Symmetry: P6_3/m, No. 176
- E_form: -2467 meV per atom

***

No. 12
Material: Gd2CdPd2
Method: DFT, meta-GGA r2SCAN
State: relaxed

The structure in POSCAR format:
```
Gd2CdPd2
1.0
7.7278 0.0000 0.0000
0.0000 7.7278 0.0000
0.0000 0.0000 3.7624
Gd Cd Pd
4 2 4
direct
0.1728 0.3272 0.0000 Gd
0.3272 0.8272 0.0000 Gd
0.6728 0.1728 0.0000 Gd
0.8272 0.6728 0.0000 Gd
0.0000 0.0000 0.5000 Cd
0.5000 0.5000 0.5000 Cd
0.1286 0.6286 0.5000 Pd
0.3714 0.1286 0.5000 Pd
0.6286 0.8714 0.5000 Pd
0.8714 0.3714 0.5000 Pd
```

Output
- Total magnetization: 2.996 μB/atom
- Raw total energy: -31.33 eV/atom
- Symmetry: P4/mbm, No. 127
- E_form: -767 meV per atom